(1)
Computed, not measured: a relaxed structure of V4CrNiO12 at the PBE+U level of DFT.

CIF file:
```
data_V4CrNiO12
_chemical_formula_sum 'V8 Cr2 Ni2 O24'
_cell_length_a 10.037
_cell_length_b 9.060
_cell_length_c 5.778
_cell_angle_alpha 90.00
_cell_angle_beta 110.68
_cell_angle_gamma 90.00
_symmetry_space_group_name_H-M 'C 1 2 1'
_symmetry_Int_Tables_number 5
_symmetry_space_group_name_Hall 'C 2y'
loop_
_atom_site_label
_atom_site_fract_x
_atom_site_fract_y
_atom_site_fract_z
V1 0.203 0.000 0.485
V2 0.203 0.810 0.987
Cr1 0.000 0.320 0.500
Ni1 0.000 0.489 0.000
O1 0.111 0.324 0.877
O2 0.111 0.482 0.391
O3 0.135 0.905 0.190
O4 0.138 0.902 0.696
O5 0.142 0.178 0.451
O6 0.144 0.635 0.958
```


(2)
Computed, not measured: a relaxed structure of ZnCr4NiO8 at the PBE+U level of DFT.

CIF file:
```
data_ZnCr4NiO8
_chemical_formula_sum 'Zn4 Cr16 Ni4 O32'
_cell_length_a 8.466
_cell_length_b 8.466
_cell_length_c 8.466
_cell_angle_alpha 90.00
_cell_angle_beta 90.00
_cell_angle_gamma 90.00
_symmetry_space_group_name_H-M 'F -4 3 m'
_symmetry_Int_Tables_number 216
_symmetry_space_group_name_Hall 'F -4 2 3'
loop_
_atom_site_label
_atom_site_fract_x
_atom_site_fract_y
_atom_site_fract_z
Zn1 0.000 0.000 0.000
Cr1 0.125 0.125 0.375
Ni1 0.250 0.250 0.750
O1 0.115 0.115 0.615
O2 0.136 0.136 0.136
```


| no. | density (g cm⁻³) | final energy (eV per formula unit) |
| --- | --- | --- |
| 1 | 3.4 | -131.08 |
| 2 | 5.0 | -98.15 |